No. 1
The following is a DFT calculation (PBE) of a relaxed structure of Na6Y3NbSi4S2O24.

Properties
ΔH_f (0 K) ... -2.874 eV per atom
Electronic total energy ... -7.1161 eV per atom
Space group ... P1

```
Na6Y3NbSi4S2O24
1.0
9.356 -0.014 -0.044
-4.690 8.124 0.015
-0.113 -0.021 23.183
Na O Nb S Si Y
18 72 3 6 12 9
Cartesian
2.919 5.785 1.668
-0.111 5.288 15.481
9.130 0.213 11.421
5.833 5.522 21.161
1.085 2.818 13.511
1.573 2.355 21.119
-1.379 2.761 1.852
-3.110 5.538 13.692
1.782 7.771 13.254
1.093 8.104 5.852
3.128 5.460 9.630
4.370 2.442 7.696
4.354 8.017 22.997
-1.736 2.974 17.233
4.452 2.626 19.219
-0.293 5.549 3.918
-1.659 7.717 2.020
2.961 5.093 17.463
5.562 1.072 17.223
3.894 4.198 12.199
-2.152 5.538 10.970
7.702 0.338 1.861
1.583 5.152 20.021
3.843 0.924 14.659
6.464 2.511 5.678
1.805 0.027 6.956
-1.620 5.531 17.676
1.766 0.313 13.516
5.393 4.219 0.477
3.533 3.868 21.381
5.533 4.088 17.321
1.736 5.616 5.855
8.238 1.525 6.872
3.000 7.914 9.560
0.575 4.053 17.643
4.029 6.548 13.489
-1.129 4.090 13.438
2.587 7.820 16.129
0.854 3.595 11.138
3.822 4.358 5.702
1.053 3.887 1.787
-1.713 5.218 1.853
-0.792 3.752 5.897
3.520 6.530 4.581
6.194 2.955 21.319
5.645 4.141 3.108
6.234 2.578 12.272
1.611 5.351 13.409
2.760 2.863 3.049
5.579 1.367 0.586
3.745 6.528 21.111
0.964 6.761 17.526
8.292 1.327 13.461
5.489 6.440 9.521
-3.533 6.502 16.027
0.862 1.459 9.640
1.226 4.017 8.525
1.073 1.474 1.936
-2.664 8.009 4.297
3.125 2.868 9.917
-2.037 5.144 8.564
-1.156 4.039 20.047
1.869 5.494 22.684
-0.855 1.518 21.108
1.045 7.005 11.029
5.291 6.309 18.624
2.904 2.770 17.384
0.679 7.269 8.354
-0.848 6.749 5.801
-0.739 6.934 20.041
-0.909 7.104 13.310
0.915 1.642 18.749
3.456 4.206 14.805
0.770 6.950 1.822
-1.311 6.977 22.642
-0.903 3.598 22.682
5.396 0.987 3.214
-3.033 8.053 21.079
6.510 2.791 14.897
7.320 0.131 18.504
3.746 6.373 7.008
5.590 4.070 9.784
3.953 1.213 21.375
0.589 1.899 16.086
5.381 1.292 9.958
5.255 6.522 1.833
2.784 2.531 0.628
-0.899 1.787 4.503
3.588 1.207 12.252
3.844 1.277 5.808
-0.169 5.350 19.044
4.727 2.668 22.566
4.681 2.698 11.102
3.225 5.707 5.805
-2.919 5.339 9.725
3.254 0.358 13.434
1.753 8.017 17.361
1.935 2.692 1.840
-1.406 2.417 5.760
2.680 5.334 21.308
6.061 0.339 1.892
-3.285 5.661 17.417
1.377 7.886 9.695
3.236 5.107 13.473
-1.479 2.964 21.334
6.015 5.057 1.847
7.367 2.684 13.529
-1.444 7.835 21.290
1.293 2.513 17.451
-1.840 8.077 5.738
1.430 2.962 9.754
-0.021 5.475 0.342
-0.039 5.461 7.416
-0.015 5.344 11.901
4.557 2.749 15.875
-0.009 0.008 15.099
-4.759 8.089 19.725
4.631 2.668 4.277
0.106 0.121 8.169
-4.611 8.046 3.446
```

***

No. 2
The following is a DFT calculation (PBE) of a relaxed structure of Na14Y4Nb4Si11SO48.

Properties
ΔH_f (0 K) ... -2.974 eV per atom
Electronic total energy ... -7.2801 eV per atom
Space group ... P1

```
Na14Y4Nb4Si11SO48
1.0
18.632 0.001 -0.001
-4.658 8.067 0.010
-0.001 0.028 22.893
O Na Si Nb S Y
144 42 33 12 3 12
Cartesian
1.084 1.728 18.420
12.322 2.685 16.826
3.351 4.235 14.690
17.772 1.499 13.597
2.963 7.880 15.961
16.919 0.345 1.886
-0.978 4.128 19.818
-0.894 6.882 5.837
5.557 1.346 0.584
1.138 4.020 1.961
0.878 1.897 15.992
3.616 3.934 21.068
-2.627 7.900 4.518
0.593 7.032 1.962
5.678 6.704 15.947
5.821 6.802 9.546
5.248 6.469 1.916
4.048 4.611 12.086
10.957 0.068 13.699
8.493 4.023 13.156
7.738 5.331 8.301
4.085 0.859 14.478
10.483 1.281 1.915
0.747 3.893 17.322
0.916 3.994 8.293
8.042 1.518 7.026
7.604 5.081 1.956
5.271 1.091 9.499
1.603 5.379 13.145
1.719 0.040 20.768
14.703 4.207 0.528
2.862 2.735 17.168
3.448 1.175 11.907
12.320 2.577 0.527
3.887 6.189 7.091
12.261 7.752 9.557
12.622 1.176 12.019
6.663 2.300 12.035
12.404 2.743 3.159
8.500 1.559 20.867
6.386 8.072 20.914
15.575 2.991 21.067
8.638 6.864 13.285
-0.750 3.597 22.410
11.343 0.183 6.939
-1.540 5.414 17.450
6.688 7.900 4.526
13.460 1.195 21.063
9.917 7.031 1.980
16.570 0.299 18.532
1.893 5.633 22.345
3.897 6.702 13.630
9.907 1.610 9.548
8.523 1.377 13.614
15.520 2.575 5.536
7.599 0.345 1.888
10.906 5.175 13.272
13.162 6.584 13.499
8.483 4.006 5.956
5.600 1.304 17.033
13.079 6.622 20.850
-1.717 5.083 1.952
14.721 1.233 3.260
11.986 7.711 15.897
14.558 6.468 1.907
14.692 1.298 16.935
8.545 1.888 4.368
5.419 4.186 17.040
-0.776 1.884 4.368
2.946 7.752 9.556
17.349 1.517 7.024
3.824 4.076 5.502
12.929 4.065 14.599
3.762 1.203 5.613
14.701 4.083 16.925
5.557 4.088 3.175
10.223 6.767 10.875
-1.228 6.942 22.381
7.650 5.497 10.934
8.639 6.943 19.751
10.060 6.853 8.201
6.235 3.014 21.065
12.938 3.938 21.043
4.129 1.206 21.081
7.730 5.598 17.286
6.632 3.082 14.643
3.774 6.619 20.874
9.969 3.945 17.268
0.736 3.834 10.932
-3.367 6.436 15.823
-1.006 4.141 13.276
15.080 4.045 9.504
1.693 5.168 19.711
0.620 1.600 9.523
5.798 4.061 9.532
12.696 6.567 4.431
10.992 5.186 19.699
14.545 1.044 9.508
8.276 4.054 19.702
0.744 6.876 8.178
13.303 1.111 14.610
1.163 1.279 1.914
10.859 5.515 5.920
1.545 5.513 5.918
13.201 6.193 7.089
1.022 6.588 17.318
-3.509 6.787 9.518
14.681 6.154 18.472
14.872 4.091 3.169
6.203 2.568 5.539
10.218 3.982 8.266
3.385 6.569 4.435
5.385 4.211 0.540
9.979 1.610 15.925
2.992 2.575 0.529
10.077 3.900 10.882
-0.779 1.550 20.812
5.403 1.230 3.258
5.461 6.294 18.559
8.181 6.944 22.391
10.462 4.017 1.962
2.025 0.184 6.932
13.079 1.202 5.617
-0.619 6.984 19.783
-0.822 4.004 5.954
15.920 2.396 11.974
3.084 2.742 3.160
15.607 2.908 14.540
7.361 0.215 18.563
8.422 6.881 5.844
8.560 3.667 22.355
10.134 6.728 17.411
-0.732 6.804 13.103
10.666 1.590 18.495
14.875 1.341 0.586
12.271 2.984 9.505
13.138 4.077 5.501
-1.679 5.461 10.868
2.969 3.027 9.559
-1.590 5.318 8.272
1.632 0.073 13.402
0.878 6.757 10.820
13.212 4.464 11.977
11.228 5.644 22.346
2.872 5.757 1.920
16.859 2.341 9.541
-1.109 2.712 1.919
12.637 0.074 17.184
-0.133 5.497 15.321
18.622 0.045 22.891
1.602 7.933 13.355
-3.021 5.700 13.398
15.219 5.480 20.938
12.229 0.366 9.616
7.577 7.709 1.818
9.342 5.236 3.804
-4.623 8.076 11.479
8.203 2.708 1.919
1.393 8.070 5.735
11.114 7.875 13.431
1.598 2.444 21.049
5.876 5.512 20.930
0.026 5.236 3.810
14.004 2.853 7.660
12.192 5.756 1.934
7.526 2.319 9.518
10.650 2.664 13.327
14.098 2.722 19.042
7.517 2.921 17.119
1.286 2.645 13.304
6.302 5.571 13.363
-1.737 7.709 1.832
12.875 5.370 9.540
2.922 0.375 9.667
4.677 2.837 7.675
3.052 5.177 17.156
15.769 0.260 20.931
4.725 2.635 18.999
12.335 5.222 17.131
9.321 5.398 15.282
15.379 0.011 5.722
3.532 5.375 9.531
4.651 8.091 22.878
6.484 0.239 20.936
4.641 8.072 11.361
10.939 2.394 20.953
-1.387 3.035 21.042
5.992 5.031 1.870
15.305 5.031 1.861
-3.174 5.564 17.170
12.573 5.086 13.317
1.835 8.045 17.241
10.721 2.469 17.151
3.243 0.258 13.235
7.901 3.051 21.028
1.311 7.690 9.496
6.681 5.421 9.555
1.351 3.046 9.601
16.761 2.728 13.312
2.757 5.367 21.010
-1.368 7.845 21.059
10.634 7.671 9.507
7.863 2.483 5.716
7.972 7.812 21.059
12.068 5.359 21.011
2.021 2.661 1.908
7.525 2.689 13.352
15.741 0.031 17.177
11.342 2.658 1.908
-2.662 5.400 9.520
12.569 0.293 13.374
3.234 5.176 13.379
6.064 5.656 17.220
3.205 5.596 5.735
10.660 3.047 9.571
17.182 2.487 5.718
5.969 0.422 1.939
15.289 0.419 1.948
12.523 5.599 5.736
-0.048 5.492 18.760
13.976 2.712 22.405
14.008 2.822 4.245
4.688 2.817 4.246
4.657 2.732 22.405
-0.029 5.402 11.890
14.020 2.728 15.636
9.294 5.420 18.692
9.347 5.263 7.206
9.338 5.390 11.914
0.037 5.260 7.218
4.637 8.069 14.928
12.188 0.008 5.718
1.396 2.545 17.222
-1.783 8.073 5.724
13.913 8.031 19.386
9.343 0.053 19.419
4.580 8.033 8.021
4.704 2.729 11.049
13.902 8.039 8.033
9.238 0.047 3.411
0.008 5.379 0.472
9.341 5.378 0.487
13.974 2.669 11.016
4.669 2.641 15.535
18.557 0.048 3.416
13.992 8.015 14.964
```